# 1
VASP calculation (PBE) on crystalline Sr2YCu2Bi2O8 at its relaxed geometry.

Cell and atoms, written as POSCAR:
```
Sr2YCu2Bi2O8
1.0
-7.634 -12.816 4.564
-11.713 -10.000 2.483
10.123 10.285 -5.924
Sr Cu Bi O Y
2 2 2 8 1
direct
0.113 0.113 0.000 Sr
0.887 0.887 0.000 Sr
0.551 0.551 0.000 Cu
0.449 0.449 0.000 Cu
0.297 0.297 0.000 Bi
0.703 0.703 0.000 Bi
0.452 0.952 0.500 O
0.634 0.634 0.000 O
0.048 0.548 0.500 O
0.201 0.201 0.000 O
0.799 0.799 0.000 O
0.548 0.048 0.500 O
0.366 0.366 0.000 O
0.952 0.452 0.500 O
0.000 0.000 0.000 Y
```

Computed properties:
E	-6.15	eV/atom
offset from the most stable computed form	0.022	eV per atom



# 2
VASP calculation (PBE) on crystalline Ba2Ti4Tl2Zn3O12 at its relaxed geometry.

Cell and atoms, written as POSCAR:
```
Ba2Ti4Tl2Zn3O12
1.0
-22.419 -0.102 5.991
-22.626 4.341 2.782
21.952 -3.708 -6.548
Ba Tl Zn Ti O
2 2 3 4 12
direct
0.173 0.173 0.000 Ba
0.827 0.827 0.000 Ba
0.275 0.275 0.000 Tl
0.725 0.725 0.000 Tl
0.079 0.079 0.000 Zn
0.921 0.921 0.000 Zn
0.000 0.000 0.000 Zn
0.611 0.611 0.000 Ti
0.389 0.389 0.000 Ti
0.471 0.471 0.000 Ti
0.529 0.529 0.000 Ti
0.532 0.032 0.500 O
0.599 0.099 0.500 O
0.901 0.401 0.500 O
0.774 0.774 0.000 O
0.968 0.468 0.500 O
0.099 0.599 0.500 O
0.468 0.968 0.500 O
0.350 0.350 0.000 O
0.226 0.226 0.000 O
0.650 0.650 0.000 O
0.401 0.901 0.500 O
0.032 0.532 0.500 O
```

Computed properties:
E	-6.41	eV/atom



# 3
VASP calculation (PBE) on crystalline Ba3Y2I12 at its relaxed geometry.

Cell and atoms, written as POSCAR:
```
Ba3Y2I12
1.0
-5.000 -4.354 12.154
-3.456 -12.757 -5.991
10.486 -17.610 -1.994
I Y Ba
48 8 12
direct
0.071 0.332 0.046 I
0.948 0.962 0.640 I
0.166 0.603 0.317 I
0.571 0.668 0.454 I
0.834 0.397 0.683 I
0.619 0.593 0.909 I
0.797 0.959 0.298 I
0.429 0.332 0.546 I
0.275 0.777 0.460 I
0.253 0.915 0.076 I
0.552 0.962 0.140 I
0.387 0.586 0.190 I
0.929 0.668 0.954 I
0.666 0.397 0.183 I
0.297 0.041 0.202 I
0.881 0.593 0.409 I
0.383 0.432 0.684 I
0.613 0.414 0.810 I
0.019 0.930 0.204 I
0.188 0.253 0.432 I
0.381 0.407 0.091 I
0.247 0.915 0.576 I
0.481 0.930 0.704 I
0.975 0.791 0.090 I
0.883 0.568 0.816 I
0.225 0.777 0.960 I
0.725 0.223 0.540 I
0.475 0.209 0.410 I
0.775 0.223 0.040 I
0.753 0.085 0.424 I
0.448 0.038 0.860 I
0.117 0.432 0.184 I
0.747 0.085 0.924 I
0.113 0.586 0.690 I
0.312 0.253 0.932 I
0.203 0.041 0.702 I
0.688 0.747 0.068 I
0.025 0.209 0.910 I
0.334 0.603 0.817 I
0.812 0.747 0.568 I
0.119 0.407 0.591 I
0.052 0.038 0.360 I
0.519 0.070 0.296 I
0.525 0.791 0.590 I
0.887 0.414 0.310 I
0.981 0.070 0.796 I
0.617 0.568 0.316 I
0.703 0.959 0.798 I
0.679 0.336 0.355 Y
0.349 0.125 0.566 Y
0.849 0.875 0.934 Y
0.179 0.664 0.145 Y
0.651 0.875 0.434 Y
0.821 0.336 0.855 Y
0.321 0.664 0.645 Y
0.151 0.125 0.066 Y
0.397 0.724 0.290 Ba
0.897 0.276 0.210 Ba
0.218 0.164 0.807 Ba
0.282 0.164 0.307 Ba
0.603 0.276 0.710 Ba
0.718 0.836 0.693 Ba
0.018 0.710 0.480 Ba
0.982 0.290 0.520 Ba
0.518 0.290 0.020 Ba
0.482 0.710 0.980 Ba
0.782 0.836 0.193 Ba
0.103 0.724 0.790 Ba
```

Computed properties:
E	-3.73	eV/atom
offset from the most stable computed form	0.000	eV per atom



# 4
VASP calculation (PBE) on crystalline K2ZnH4 at its relaxed geometry.

Cell and atoms, written as POSCAR:
```
K2ZnH4
1.0
5.856 0.000 0.000
0.000 7.797 0.000
0.000 0.000 10.310
Zn H K
4 16 8
direct
0.250 0.235 0.918 Zn
0.750 0.765 0.082 Zn
0.250 0.735 0.582 Zn
0.750 0.265 0.418 Zn
0.750 0.477 0.413 H
0.750 0.977 0.087 H
0.982 0.188 0.346 H
0.250 0.807 0.429 H
0.018 0.312 0.846 H
0.750 0.693 0.929 H
0.982 0.688 0.154 H
0.250 0.523 0.587 H
0.482 0.812 0.654 H
0.250 0.307 0.071 H
0.482 0.312 0.846 H
0.250 0.023 0.913 H
0.518 0.188 0.346 H
0.518 0.688 0.154 H
0.018 0.812 0.654 H
0.750 0.193 0.571 H
0.750 0.012 0.813 K
0.250 0.988 0.187 K
0.250 0.161 0.591 K
0.750 0.512 0.687 K
0.750 0.839 0.409 K
0.250 0.661 0.909 K
0.750 0.339 0.091 K
0.250 0.488 0.313 K
```

Computed properties:
E	-2.67	eV/atom



| no. | ΔE_f (eV per atom) | energy with MP2020 corrections (eV per atom) |
| --- | --- | --- |
| 1 | -2.15 | -6.51 |
| 2 | -2.27 | -6.76 |
| 3 | -1.82 | -4.00 |
| 4 | -0.33 | -2.77 |